Computed, not measured: LaSb3Pd after structural relaxation at the r2SCAN level of DFT.

Summary:
calculated formation energy: -79 kJ/mol of atoms
total DFT energy (no corrections): -26.79 eV/atom

Structure (extended XYZ):
```
40
Lattice="-5.565 -2.756 1.593 5.581 -11.247 0.035 2.910 1.483 12.727" Properties=species:S:1:pos:R:3 pbc="T T T"
Sb -0.003 -6.987 7.253
Sb 4.959 -8.022 9.564
Pd -0.561 -2.124 8.517
Sb 0.756 -8.329 0.835
Sb 2.928 -5.534 7.102
Sb 2.058 -4.289 0.067
La 3.491 -8.771 2.810
Sb 0.867 -8.232 14.288
Pd -0.013 -8.858 9.176
Sb 0.898 -10.052 4.768
La -3.597 -1.773 3.717
Pd 3.487 -10.397 5.838
Pd 1.639 -1.043 5.171
Sb 2.028 -2.468 9.587
Pd 1.287 -11.478 9.184
Sb -2.043 -0.982 10.514
Sb 5.016 -8.006 5.730
Sb 0.747 -6.604 10.532
La -0.566 -3.749 11.545
Sb 2.305 -11.130 14.297
Sb 2.593 -9.200 8.100
Sb -2.033 -4.498 4.791
Sb -0.612 -0.292 3.807
Sb 0.620 -1.391 0.058
Sb 0.137 0.090 7.084
Sb 2.194 -11.227 0.844
La 3.732 -5.124 10.620
La 0.416 -3.289 2.874
Sb 2.178 -5.915 3.824
La -0.807 -7.397 3.735
Sb -2.792 -1.363 7.236
Pd 2.187 -7.777 5.830
Pd 2.938 -3.662 5.179
Sb 0.732 -1.294 13.510
Pd 0.738 -4.743 8.525
La 6.522 -10.747 10.637
Sb 2.169 -4.192 13.520
Sb -2.091 -4.515 8.625
La 2.509 -9.232 11.480
Sb 0.332 -3.320 6.255
```